1 | Entry from the Materials Project: a relaxed structure of MgAl4Cu2O8 (PBE).

a = 6.3444 Å, b = 6.3444 Å, c = 6.3444 Å
α = 60.00°, β = 60.00°, γ = 60.00°
With the nearest neighbours (Å) after each atom.
Element x y z (fractional)
Mg  0.3750  0.3750  0.3750  4 O 1.80
Al  0.5198  0.9407  0.5198  3 O 1.87
Al  0.9407  0.5198  0.5198  3 O 1.87
Al  0.5198  0.5198  0.9407  3 O 1.87
Al  0.5198  0.5198  0.5198  3 O 1.87
Cu  0.1250  0.1250  0.1250  4 O 2.09
Cu  0.8750  0.8750  0.8750  4 O 2.28
O  0.7282  0.7282  0.7282  3 Al 1.87
O  0.2594  0.2594  0.7217  1 Mg 1.80
O  0.2594  0.7217  0.2594  1 Mg 1.80
O  0.7217  0.2594  0.2594  1 Mg 1.80
O  0.7282  0.3154  0.7282  3 Al 1.87
O  0.3154  0.7282  0.7282  3 Al 1.87
O  0.2594  0.2594  0.2594  1 Mg 1.80
O  0.7282  0.7282  0.3154  3 Al 1.87

---

2 | Entry from the Materials Project: a relaxed structure of MgAl4Cu2O8 (PBE).

a = 5.9600 Å, b = 6.0364 Å, c = 5.7474 Å
α = 118.42°, β = 90.58°, γ = 60.15°
With the nearest neighbours (Å) after each atom.
Element x y z (fractional)
Mg  0.5161  0.9700  0.9906  4 O 1.98-2.00
Al  0.0399  0.9213  0.9594  4 O 1.80-1.87
Al  0.2079  0.5847  0.2904  4 O 1.79-1.95
Al  0.1386  0.2306  0.6170  6 O 1.86-2.09
Al  0.6321  0.2290  0.6106  5 O 1.87-2.05
Cu  0.7079  0.5818  0.1017  3 O 1.91-2.09
Cu  0.7013  0.5947  0.4965  3 O 1.93-2.11
O  0.3484  0.8065  0.4025  2 Al 1.79-1.86
O  0.8461  0.8048  0.3981  2 Al 1.79-1.87
O  0.4046  0.6816  0.8420  2 Al 1.80-1.99, 1 Mg 1.98
O  0.3590  0.2855  0.3933  3 Al 1.95-2.09, 1 Mg 1.98
O  0.3577  0.2824  0.8929  3 Al 1.95-2.11, 1 Mg 2.00
O  0.9150  0.6809  0.8380  2 Al 1.80-1.98, 1 Mg 1.98
O  0.9185  0.1638  0.3446  3 Al 1.86-2.05, 1 Cu 1.93
O  0.9188  0.1616  0.8103  3 Al 1.87-2.03, 1 Cu 1.91

---

From most stable to least stable, the computed energies give 2, 1.